PBE InSnBr3, relaxed; symmetry = P1, No. 1
1.0
10.178 -2.357 -6.024
3.933 -4.671 10.594
-6.563 -16.099 -4.802
Sn Br In
16 48 16
direct
0.740 0.251 0.391
0.905 0.423 0.595
0.079 0.592 0.094
0.771 0.718 0.008
0.899 0.085 0.757
0.731 0.229 0.112
0.267 0.770 0.611
0.408 0.594 0.253
0.114 0.922 0.252
0.585 0.093 0.905
0.228 0.280 0.511
0.778 0.763 0.499
0.270 0.774 0.890
0.226 0.277 0.002
0.590 0.402 0.749
0.415 0.906 0.407
0.749 0.252 0.936
0.249 0.746 0.063
0.214 0.052 0.369
0.718 0.990 0.431
0.116 0.619 0.242
0.701 0.566 0.869
0.786 0.513 0.066
0.713 0.551 0.631
0.869 0.369 0.252
0.286 0.432 0.127
0.756 0.248 0.562
0.248 0.749 0.436
0.017 0.279 0.066
0.215 0.486 0.565
0.494 0.772 0.572
0.204 0.055 0.138
0.618 0.118 0.755
0.770 0.497 0.431
0.495 0.777 0.926
0.733 0.009 0.071
0.384 0.880 0.256
0.981 0.719 0.933
0.885 0.377 0.743
0.059 0.938 0.750
0.437 0.295 0.635
0.067 0.199 0.868
0.074 0.213 0.626
0.023 0.278 0.433
0.505 0.226 0.072
0.791 0.952 0.868
0.932 0.782 0.127
0.438 0.559 0.749
0.552 0.710 0.369
0.568 0.705 0.132
0.920 0.790 0.375
0.276 0.993 0.929
0.222 0.477 0.933
0.638 0.136 0.249
0.793 0.932 0.630
0.980 0.718 0.567
0.128 0.628 0.749
0.512 0.229 0.425
0.443 0.282 0.871
0.301 0.439 0.364
0.942 0.059 0.254
0.563 0.441 0.247
0.270 0.991 0.571
0.365 0.865 0.748
0.941 0.443 0.913
0.001 0.001 0.001
0.445 0.940 0.084
0.776 0.601 0.251
0.220 0.401 0.750
0.003 0.005 0.500
0.100 0.278 0.249
0.608 0.770 0.753
0.396 0.228 0.252
0.560 0.058 0.581
0.901 0.721 0.748
0.725 0.894 0.255
0.501 0.501 0.001
0.055 0.557 0.414
0.275 0.110 0.754
0.509 0.499 0.499


PBE InSnBr3, relaxed; symmetry = R3c, No. 161; largest piezoelectric modulus = 2.0 C/m²
1.0
7.176 -4.089 0.000
7.176 4.089 0.000
4.846 0.000 6.688
Sn Br In
2 6 2
direct
0.503 0.503 0.503
0.003 0.003 0.003
0.784 0.141 0.338
0.838 0.641 0.284
0.284 0.838 0.641
0.338 0.784 0.141
0.141 0.338 0.784
0.641 0.284 0.838
0.706 0.706 0.706
0.206 0.206 0.206


PBE InSn2Br5, relaxed; symmetry = I4/mcm, No. 140
1.0
5.013 0.286 8.085
-4.263 -6.677 5.274
3.367 -0.913 -8.855
Br Sn In
10 4 2
direct
0.797 0.974 0.500
0.203 0.026 0.500
0.474 0.297 0.500
0.526 0.703 0.500
0.026 0.526 0.823
0.974 0.474 0.177
0.500 0.500 0.000
0.000 0.000 0.000
0.297 0.797 0.823
0.703 0.203 0.177
0.825 0.675 0.500
0.175 0.325 0.500
0.675 0.175 0.851
0.325 0.825 0.149
0.750 0.750 0.000
0.250 0.250 0.000


PBE Sr2InBr5, relaxed; symmetry = P2_1/c, No. 14
1.0
-3.887 7.546 0.349
-5.696 -2.608 -7.059
-8.834 -4.963 8.944
Br Sr In
20 8 4
direct
0.306 0.726 0.784
0.660 0.541 0.899
0.163 0.037 0.592
0.455 0.718 0.502
0.955 0.282 0.998
0.659 0.720 0.185
0.045 0.718 0.002
0.840 0.541 0.399
0.160 0.459 0.601
0.806 0.274 0.716
0.841 0.720 0.685
0.837 0.963 0.408
0.340 0.459 0.101
0.194 0.726 0.284
0.694 0.274 0.216
0.341 0.280 0.815
0.663 0.963 0.908
0.159 0.280 0.315
0.545 0.282 0.498
0.337 0.037 0.092
0.976 0.501 0.178
0.426 0.748 0.006
0.074 0.748 0.506
0.524 0.501 0.678
0.024 0.499 0.822
0.926 0.252 0.494
0.476 0.499 0.322
0.574 0.252 0.994
0.990 0.010 0.179
0.490 0.990 0.321
0.510 0.010 0.679
0.010 0.990 0.821


PBE In3Te3Br, relaxed; symmetry = Pnma, No. 62
1.0
-2.612 3.446 0.931
-7.859 -3.762 -8.123
-9.783 -11.400 14.744
In Te Br
12 12 4
direct
0.250 0.661 0.634
0.750 0.454 0.896
0.750 0.954 0.604
0.750 0.839 0.134
0.250 0.161 0.866
0.250 0.046 0.396
0.250 0.673 0.990
0.750 0.327 0.010
0.750 0.827 0.490
0.250 0.546 0.104
0.750 0.339 0.366
0.250 0.173 0.510
0.750 0.271 0.805
0.250 0.729 0.195
0.750 0.903 0.361
0.250 0.169 0.001
0.750 0.831 0.999
0.750 0.331 0.501
0.250 0.669 0.499
0.750 0.771 0.695
0.250 0.229 0.305
0.250 0.597 0.861
0.750 0.403 0.139
0.250 0.097 0.639
0.250 0.955 0.832
0.750 0.545 0.332
0.250 0.455 0.668
0.750 0.045 0.168


PBE ZrIn2Br6, relaxed; symmetry = P4/mnc, No. 128
1.0
-1.968 6.545 3.194
-5.128 1.104 -5.422
-7.485 -5.189 6.022
Br Zr In
12 2 4
direct
0.204 0.287 0.500
0.787 0.704 0.000
0.296 0.787 0.000
0.713 0.204 0.500
0.500 0.500 0.243
0.000 0.000 0.257
0.704 0.213 0.000
0.796 0.713 0.500
0.000 0.000 0.743
0.500 0.500 0.757
0.287 0.796 0.500
0.213 0.296 0.000
0.000 0.000 0.500
0.500 0.500 0.000
0.000 0.500 0.750
0.000 0.500 0.250
0.500 0.000 0.750
0.500 0.000 0.250


PBE IrBr3, relaxed; symmetry = C2/m, No. 12
1.0
-6.264 0.969 -1.330
1.796 -1.850 5.942
-0.831 6.096 3.284
Br Ir
6 2
direct
0.079 0.433 0.209
0.213 0.213 0.791
0.787 0.787 0.209
0.567 0.921 0.791
0.921 0.567 0.791
0.433 0.079 0.209
0.167 0.833 0.000
0.833 0.167 0.000


PBE La3IrBr3, relaxed; symmetry = I4_132, No. 214
1.0
-3.174 4.591 9.032
-7.840 0.454 -7.146
2.496 -10.148 1.875
Br La Ir
12 12 4
direct
0.744 0.250 0.756
0.744 0.994 0.988
0.250 0.756 0.744
0.756 0.512 0.506
0.756 0.744 0.250
0.250 0.994 0.506
0.512 0.506 0.756
0.506 0.250 0.994
0.994 0.506 0.250
0.988 0.744 0.994
0.506 0.756 0.512
0.994 0.988 0.744
0.032 0.266 0.016
0.234 0.468 0.484
0.468 0.484 0.234
0.750 0.234 0.266
0.266 0.016 0.032
0.234 0.266 0.750
0.266 0.750 0.234
0.750 0.016 0.484
0.484 0.750 0.016
0.016 0.032 0.266
0.016 0.484 0.750
0.484 0.234 0.468
0.000 0.250 0.500
0.250 0.250 0.250
0.500 0.000 0.250
0.250 0.500 0.000


no.,volume (A^3/atom),ΔH_f (0 K) (eV per atom)
1,33.12,-1.04
2,39.25,-1.06
3,33.00,-1.08
4,33.86,-2.11
5,39.61,-0.52
6,34.52,-1.45
7,30.24,-0.71
8,32.91,-1.76